[1]
DFT (PBE) results for As2Kr3F16 after structural relaxation.

abc: 6.434 25.490 9.130
angles: 90.00 91.01 90.00
Space group P2_1/c (No. 14)
Inequivalent atoms, fractional coordinates:
As1 0.233 0.179 0.013 x4
As2 0.264 0.529 0.778 x4
Kr1 0.260 0.569 0.400 x4
Kr2 0.297 0.721 0.797 x4
Kr3 0.308 0.136 0.518 x4
F1 0.002 0.512 0.794 x4
F2 0.040 0.683 0.466 x4
F3 0.043 0.111 0.477 x4
F4 0.192 0.593 0.731 x4
F5 0.198 0.181 0.819 x4
F6 0.204 0.727 0.169 x4
F7 0.220 0.110 0.011 x4
F8 0.223 0.513 0.564 x4
F9 0.249 0.249 0.016 x4
F10 0.271 0.179 0.206 x4
F11 0.290 0.615 0.244 x4
F12 0.304 0.541 0.963 x4
F13 0.330 0.038 0.289 x4
F14 0.387 0.662 0.945 x4
F15 0.478 0.043 0.768 x4
F16 0.493 0.677 0.510 x4

Calculated values
- VASP energy: -260.53 eV per cell
- Energy relative to the elements: -1.54 eV/atom
- MP2020-corrected energy: -3.45 eV/atom

=====

[2]
DFT (PBE) results for Li3AsF6 after structural relaxation.

abc: 5.418 5.701 7.200
angles: 90.73 102.82 94.60
Space group P-1 (No. 2)
Inequivalent atoms, fractional coordinates:
Li1 0.000 0.000 0.000 x1
Li2 0.000 0.500 0.500 x1
Li3 0.500 0.000 0.000 x1
As1 0.000 0.500 0.000 x1
F1 0.032 0.614 0.734 x2
F2 0.256 0.793 0.103 x2
F3 0.258 0.247 0.000 x2

Calculated values
- Polymorph energy (0 for the lowest one): 41 meV/atom
- VASP energy: -45.92 eV per cell
- Energy relative to the elements: -2.68 eV/atom
- MP2020-corrected energy: -4.87 eV/atom

=====

[3]
DFT (PBE) results for Li3AsF6 after structural relaxation.

abc: 8.030 8.030 8.030
angles: 90.00 90.00 90.00
Space group Fm-3m (No. 225)
Inequivalent atoms, fractional coordinates:
Li1 0.000 0.000 0.000 x4
Li2 0.250 0.250 0.250 x8
As1 0.000 0.000 0.500 x4
F1 0.000 0.000 0.246 x24

Calculated values
- Polymorph energy (0 for the lowest one): 132 meV/atom
- VASP energy: -180.02 eV per cell
- Energy relative to the elements: -2.59 eV/atom
- MP2020-corrected energy: -4.78 eV/atom

=====

[4]
DFT (PBE) results for Li3AsF6 after structural relaxation.

abc: 5.138 5.547 5.844
angles: 63.94 67.66 86.20
Space group P-1 (No. 2)
Inequivalent atoms, fractional coordinates:
Li1 0.000 0.000 0.000 x1
Li2 0.000 0.500 0.000 x1
Li3 0.500 0.000 0.500 x1
As1 0.000 0.500 0.500 x1
F1 0.149 0.745 0.616 x2
F2 0.231 0.702 0.071 x2
F3 0.263 0.226 0.633 x2

Calculated values
- Polymorph energy (0 for the lowest one): 0 meV/atom
- VASP energy: -46.33 eV per cell
- Energy relative to the elements: -2.72 eV/atom
- MP2020-corrected energy: -4.91 eV/atom

=====

[5]
DFT (PBE) results for Rb2LiAsF6 after structural relaxation.

abc: 8.525 8.525 8.525
angles: 90.00 90.00 90.00
Space group Fm-3m (No. 225)
Inequivalent atoms, fractional coordinates:
Rb1 0.250 0.250 0.250 x8
Li1 0.000 0.000 0.000 x4
As1 0.000 0.000 0.500 x4
F1 0.000 0.000 0.255 x24

Calculated values
- VASP energy: -181.35 eV per cell
- Energy relative to the elements: -2.81 eV/atom
- MP2020-corrected energy: -4.81 eV/atom

=====

[6]
DFT (PBE) results for MgAs2Xe4F20 after structural relaxation.

abc: 8.967 15.008 15.841
angles: 90.00 90.00 90.00
Space group P2_12_12_1 (No. 19)
Inequivalent atoms, fractional coordinates:
Mg1 0.148 0.020 0.374 x4
As1 0.001 0.534 0.516 x4
As2 0.182 0.231 0.250 x4
Xe1 0.002 0.338 0.983 x4
Xe2 0.095 0.678 0.010 x4
Xe3 0.213 0.159 0.723 x4
Xe4 0.237 0.512 0.265 x4
F1 0.019 0.181 0.210 x4
F2 0.021 0.595 0.610 x4
F3 0.027 0.969 0.075 x4
F4 0.051 0.065 0.482 x4
F5 0.064 0.528 0.173 x4
F6 0.071 0.299 0.317 x4
F7 0.096 0.506 0.850 x4
F8 0.111 0.893 0.408 x4
F9 0.113 0.290 0.881 x4
F10 0.120 0.451 0.557 x4
F11 0.126 0.114 0.022 x4
F12 0.153 0.591 0.469 x4
F13 0.156 0.975 0.934 x4
F14 0.158 0.721 0.797 x4
F15 0.172 0.284 0.677 x4
F16 0.181 0.313 0.170 x4
F17 0.182 0.147 0.335 x4
F18 0.205 0.841 0.691 x4
F19 0.232 0.785 0.005 x4
F20 0.239 0.972 0.268 x4

Calculated values
- VASP energy: -362.83 eV per cell
- Energy relative to the elements: -1.87 eV/atom
- MP2020-corrected energy: -3.70 eV/atom

=====

[7]
DFT (PBE) results for MgAs2Xe2F18 after structural relaxation.

abc: 13.310 8.777 17.084
angles: 90.00 128.43 90.00
Space group P2_1/c (No. 14)
Inequivalent atoms, fractional coordinates:
Mg1 0.242 0.037 0.135 x4
As1 0.007 0.736 0.607 x4
As2 0.476 0.193 0.670 x4
Xe1 0.218 0.703 0.950 x4
Xe2 0.296 0.148 0.832 x4
F1 0.024 0.698 0.866 x4
F2 0.066 0.109 0.862 x4
F3 0.078 0.136 0.013 x4
F4 0.083 0.652 0.073 x4
F5 0.095 0.678 0.226 x4
F6 0.121 0.136 0.447 x4
F7 0.134 0.595 0.656 x4
F8 0.206 0.547 0.860 x4
F9 0.231 0.627 0.547 x4
F10 0.236 0.200 0.212 x4
F11 0.347 0.001 0.943 x4
F12 0.353 0.158 0.114 x4
F13 0.363 0.057 0.643 x4
F14 0.398 0.547 0.769 x4
F15 0.409 0.698 0.026 x4
F16 0.410 0.671 0.303 x4
F17 0.441 0.157 0.555 x4
F18 0.490 0.728 0.715 x4

Calculated values
- VASP energy: -338.46 eV per cell
- Energy relative to the elements: -2.06 eV/atom
- MP2020-corrected energy: -4.04 eV/atom

=====

[8]
DFT (PBE) results for MgAs2Xe2F16 after structural relaxation.

abc: 9.266 15.573 5.456
angles: 90.00 90.00 90.00
Space group Pbam (No. 55)
Inequivalent atoms, fractional coordinates:
Mg1 0.000 0.000 0.000 x2
As1 0.244 0.079 0.500 x4
Xe1 0.164 0.329 0.000 x4
F1 0.002 0.754 0.000 x4
F2 0.101 0.070 0.270 x8
F3 0.128 0.588 0.267 x8
F4 0.157 0.916 0.000 x4
F5 0.211 0.190 0.500 x4
F6 0.242 0.467 0.500 x4

Calculated values
- VASP energy: -160.17 eV per cell
- Energy relative to the elements: -2.18 eV/atom
- MP2020-corrected energy: -4.17 eV/atom